No. 1
{"formula": "SrMgGe", "functional": "PBE", "state": "relaxed", "cell": [[7.878, 0.000, 0.000], [0.000, 4.629, 0.000], [0.000, 0.000, 8.647]], "species": ["Sr", "Sr", "Sr", "Sr", "Mg", "Mg", "Mg", "Mg", "Ge", "Ge", "Ge", "Ge"], "fractional_positions": [[0.016, 0.250, 0.183], [0.484, 0.750, 0.683], [0.516, 0.250, 0.317], [0.984, 0.750, 0.817], [0.142, 0.250, 0.563], [0.358, 0.750, 0.063], [0.642, 0.250, 0.937], [0.858, 0.750, 0.437], [0.221, 0.750, 0.390], [0.279, 0.250, 0.890], [0.721, 0.750, 0.110], [0.779, 0.250, 0.610]], "delta_e_f_ev_per_atom": -0.535, "volume_a3_per_atom": 26.3, "space_group": "Pnma"}

***

No. 2
{"formula": "Tb7Mg3Ge8", "functional": "PBE", "state": "relaxed", "cell": [[7.845, 0.000, 0.000], [0.000, 7.180, 0.000], [-0.002, 0.000, 14.499]], "species": ["Tb", "Tb", "Tb", "Tb", "Tb", "Tb", "Tb", "Tb", "Tb", "Tb", "Tb", "Tb", "Tb", "Tb", "Mg", "Mg", "Mg", "Mg", "Mg", "Mg", "Ge", "Ge", "Ge", "Ge", "Ge", "Ge", "Ge", "Ge", "Ge", "Ge", "Ge", "Ge", "Ge", "Ge", "Ge", "Ge"], "fractional_positions": [[0.065, 0.000, 0.347], [0.066, 0.002, 0.653], [0.072, 0.683, 0.875], [0.074, 0.682, 0.124], [0.431, 0.341, 0.620], [0.434, 0.022, 0.844], [0.434, 0.024, 0.156], [0.566, 0.522, 0.156], [0.566, 0.524, 0.844], [0.569, 0.841, 0.380], [0.926, 0.182, 0.876], [0.928, 0.183, 0.125], [0.934, 0.502, 0.347], [0.935, 0.500, 0.653], [0.233, 0.669, 0.499], [0.270, 0.352, 0.000], [0.428, 0.339, 0.374], [0.572, 0.839, 0.626], [0.730, 0.852, 0.000], [0.767, 0.169, 0.501], [0.112, 0.297, 0.500], [0.163, 0.990, 0.999], [0.217, 0.343, 0.785], [0.219, 0.343, 0.215], [0.285, 0.677, 0.288], [0.286, 0.682, 0.711], [0.342, 0.039, 0.499], [0.387, 0.725, 0.000], [0.613, 0.225, 0.000], [0.658, 0.539, 0.501], [0.714, 0.182, 0.289], [0.715, 0.177, 0.712], [0.781, 0.843, 0.785], [0.783, 0.843, 0.215], [0.837, 0.490, 0.001], [0.888, 0.797, 0.500]], "delta_e_f_ev_per_atom": -0.742, "volume_a3_per_atom": 22.7, "space_group": "P2_1"}

***

No. 3
{"formula": "Tm4MgGe4", "functional": "PBE", "state": "relaxed", "cell": [[7.145, 0.000, 0.000], [0.000, 14.381, 0.000], [0.000, 0.000, 7.684]], "species": ["Tm", "Tm", "Tm", "Tm", "Tm", "Tm", "Tm", "Tm", "Tm", "Tm", "Tm", "Tm", "Tm", "Tm", "Tm", "Tm", "Mg", "Mg", "Mg", "Mg", "Ge", "Ge", "Ge", "Ge", "Ge", "Ge", "Ge", "Ge", "Ge", "Ge", "Ge", "Ge", "Ge", "Ge", "Ge", "Ge"], "fractional_positions": [[0.009, 0.094, 0.183], [0.009, 0.406, 0.183], [0.169, 0.127, 0.677], [0.169, 0.373, 0.677], [0.331, 0.627, 0.177], [0.331, 0.873, 0.177], [0.491, 0.594, 0.683], [0.491, 0.906, 0.683], [0.509, 0.094, 0.317], [0.509, 0.406, 0.317], [0.669, 0.127, 0.823], [0.669, 0.373, 0.823], [0.831, 0.627, 0.323], [0.831, 0.873, 0.323], [0.991, 0.594, 0.817], [0.991, 0.906, 0.817], [0.162, 0.750, 0.515], [0.338, 0.250, 0.015], [0.662, 0.750, 0.985], [0.838, 0.250, 0.485], [0.025, 0.750, 0.092], [0.173, 0.536, 0.466], [0.173, 0.964, 0.466], [0.210, 0.250, 0.361], [0.290, 0.750, 0.861], [0.327, 0.036, 0.966], [0.327, 0.464, 0.966], [0.475, 0.250, 0.592], [0.525, 0.750, 0.408], [0.673, 0.536, 0.034], [0.673, 0.964, 0.034], [0.710, 0.250, 0.139], [0.790, 0.750, 0.639], [0.827, 0.036, 0.534], [0.827, 0.464, 0.534], [0.975, 0.250, 0.908]], "delta_e_f_ev_per_atom": -0.783, "volume_a3_per_atom": 21.9, "space_group": "Pnma"}

***

No. 4
{"formula": "Tm2MgGe2", "functional": "PBE", "state": "relaxed", "cell": [[7.193, 0.000, 0.000], [0.000, 7.193, 0.000], [0.000, 0.000, 4.202]], "species": ["Tm", "Tm", "Tm", "Tm", "Mg", "Mg", "Ge", "Ge", "Ge", "Ge"], "fractional_positions": [[0.177, 0.323, 0.000], [0.323, 0.823, 0.000], [0.677, 0.177, 0.000], [0.823, 0.677, 0.000], [0.000, 0.000, 0.500], [0.500, 0.500, 0.500], [0.124, 0.624, 0.500], [0.376, 0.124, 0.500], [0.624, 0.876, 0.500], [0.876, 0.376, 0.500]], "delta_e_f_ev_per_atom": -0.746, "volume_a3_per_atom": 21.7, "space_group": "P4/mbm"}

***

No. 5
{"formula": "Y2MgGe2", "functional": "PBE", "state": "relaxed", "cell": [[7.270, 0.000, 0.000], [0.000, 7.270, 0.000], [0.000, 0.000, 4.279]], "species": ["Y", "Y", "Y", "Y", "Mg", "Mg", "Ge", "Ge", "Ge", "Ge"], "fractional_positions": [[0.178, 0.322, 0.000], [0.322, 0.822, 0.000], [0.678, 0.178, 0.000], [0.822, 0.678, 0.000], [0.000, 0.000, 0.500], [0.500, 0.500, 0.500], [0.124, 0.624, 0.500], [0.376, 0.124, 0.500], [0.624, 0.876, 0.500], [0.876, 0.376, 0.500]], "delta_e_f_ev_per_atom": -0.794, "volume_a3_per_atom": 22.6, "space_group": "P4/mbm"}

***

No. 6
{"formula": "Mn5Ge2", "functional": "PBE", "state": "relaxed", "cell": [[-2.987, 5.734, 2.654], [2.987, -5.734, 2.654], [2.987, 5.734, -2.654]], "species": ["Mn", "Mn", "Mn", "Mn", "Mn", "Mn", "Mn", "Mn", "Mn", "Mn", "Ge", "Ge", "Ge", "Ge"], "fractional_positions": [[0.020, 0.250, 0.770], [0.109, 0.714, 0.823], [0.250, 0.250, 0.000], [0.391, 0.214, 0.605], [0.480, 0.250, 0.230], [0.520, 0.750, 0.770], [0.609, 0.786, 0.395], [0.750, 0.750, 0.000], [0.891, 0.286, 0.177], [0.980, 0.750, 0.230], [0.116, 0.286, 0.402], [0.384, 0.786, 0.170], [0.616, 0.214, 0.830], [0.884, 0.714, 0.598]], "delta_e_f_ev_per_atom": -0.003, "volume_a3_per_atom": 13.0, "polymorph_energy_ev_per_atom": 0.023, "space_group": "Ibam"}

***

No. 7
{"formula": "MnGe2", "functional": "PBE", "state": "relaxed", "cell": [[-2.981, 2.981, 2.426], [2.981, -2.981, 2.426], [2.981, 2.981, -2.426]], "species": ["Mn", "Mn", "Ge", "Ge", "Ge", "Ge"], "fractional_positions": [[0.250, 0.250, 0.000], [0.750, 0.750, 0.000], [0.155, 0.655, 0.811], [0.345, 0.155, 0.500], [0.655, 0.845, 0.500], [0.845, 0.345, 0.189]], "delta_e_f_ev_per_atom": -0.034, "volume_a3_per_atom": 14.4, "space_group": "I4/mcm"}

***

No. 8
{"formula": "Mn5Ge3", "functional": "PBE", "state": "relaxed", "cell": [[7.134, 0.000, 0.000], [-3.567, 6.178, 0.000], [0.000, 0.000, 4.983]], "species": ["Mn", "Mn", "Mn", "Mn", "Mn", "Mn", "Mn", "Mn", "Mn", "Mn", "Ge", "Ge", "Ge", "Ge", "Ge", "Ge"], "fractional_positions": [[0.000, 0.242, 0.250], [0.000, 0.758, 0.750], [0.242, 0.000, 0.250], [0.242, 0.242, 0.750], [0.333, 0.667, 0.000], [0.333, 0.667, 0.500], [0.667, 0.333, 0.000], [0.667, 0.333, 0.500], [0.758, 0.000, 0.750], [0.758, 0.758, 0.250], [0.000, 0.395, 0.750], [0.000, 0.605, 0.250], [0.395, 0.000, 0.750], [0.395, 0.395, 0.250], [0.605, 0.000, 0.250], [0.605, 0.605, 0.750]], "delta_e_f_ev_per_atom": -0.107, "volume_a3_per_atom": 13.7, "space_group": "P6_3/mcm"}

***

No. 9
{"formula": "Mn3Ge5", "functional": "PBE", "state": "relaxed", "cell": [[5.704, 0.000, 0.000], [0.000, 5.704, 0.000], [0.000, 0.000, 13.829]], "species": ["Mn", "Mn", "Mn", "Mn", "Mn", "Mn", "Mn", "Mn", "Mn", "Mn", "Mn", "Mn", "Ge", "Ge", "Ge", "Ge", "Ge", "Ge", "Ge", "Ge", "Ge", "Ge", "Ge", "Ge", "Ge", "Ge", "Ge", "Ge", "Ge", "Ge", "Ge", "Ge"], "fractional_positions": [[0.000, 0.000, 0.000], [0.000, 0.000, 0.328], [0.000, 0.000, 0.672], [0.000, 0.500, 0.250], [0.000, 0.500, 0.587], [0.000, 0.500, 0.913], [0.500, 0.000, 0.087], [0.500, 0.000, 0.413], [0.500, 0.000, 0.750], [0.500, 0.500, 0.172], [0.500, 0.500, 0.500], [0.500, 0.500, 0.828], [0.157, 0.267, 0.450], [0.160, 0.805, 0.151], [0.171, 0.671, 0.750], [0.195, 0.160, 0.849], [0.233, 0.343, 0.050], [0.267, 0.843, 0.550], [0.305, 0.660, 0.349], [0.329, 0.171, 0.250], [0.340, 0.305, 0.651], [0.343, 0.767, 0.950], [0.657, 0.233, 0.950], [0.660, 0.695, 0.651], [0.671, 0.829, 0.250], [0.695, 0.340, 0.349], [0.733, 0.157, 0.550], [0.767, 0.657, 0.050], [0.805, 0.840, 0.849], [0.829, 0.329, 0.750], [0.840, 0.195, 0.151], [0.843, 0.733, 0.450]], "delta_e_f_ev_per_atom": -0.078, "volume_a3_per_atom": 14.1, "space_group": "P-4n2"}

***

No. 10
{"formula": "MnGe3", "functional": "PBE", "state": "relaxed", "cell": [[3.991, 0.000, 0.000], [0.000, 3.991, 0.000], [0.000, 0.000, 3.991]], "species": ["Mn", "Ge", "Ge", "Ge"], "fractional_positions": [[0.000, 0.000, 0.000], [0.000, 0.500, 0.500], [0.500, 0.000, 0.500], [0.500, 0.500, 0.000]], "delta_e_f_ev_per_atom": 0.328, "volume_a3_per_atom": 15.9, "space_group": "Pm-3m"}

***

No. 11
{"formula": "Mn5Ge2", "functional": "PBE", "state": "relaxed", "cell": [[6.957, 0.000, 0.000], [-3.478, 6.025, 0.000], [0.000, 0.000, 12.588]], "species": ["Mn", "Mn", "Mn", "Mn", "Mn", "Mn", "Mn", "Mn", "Mn", "Mn", "Mn", "Mn", "Mn", "Mn", "Mn", "Mn", "Mn", "Mn", "Mn", "Mn", "Mn", "Mn", "Mn", "Mn", "Mn", "Mn", "Mn", "Mn", "Mn", "Mn", "Ge", "Ge", "Ge", "Ge", "Ge", "Ge", "Ge", "Ge", "Ge", "Ge", "Ge", "Ge"], "fractional_positions": [[0.000, 0.000, 0.000], [0.000, 0.000, 0.500], [0.000, 0.298, 0.327], [0.000, 0.303, 0.121], [0.000, 0.358, 0.525], [0.000, 0.367, 0.731], [0.000, 0.633, 0.231], [0.000, 0.642, 0.025], [0.000, 0.697, 0.621], [0.000, 0.702, 0.827], [0.298, 0.000, 0.327], [0.298, 0.298, 0.827], [0.303, 0.000, 0.121], [0.303, 0.303, 0.621], [0.333, 0.667, 0.349], [0.333, 0.667, 0.849], [0.358, 0.000, 0.525], [0.358, 0.358, 0.025], [0.367, 0.000, 0.731], [0.367, 0.367, 0.231], [0.633, 0.000, 0.231], [0.633, 0.633, 0.731], [0.642, 0.000, 0.025], [0.642, 0.642, 0.525], [0.667, 0.333, 0.349], [0.667, 0.333, 0.849], [0.697, 0.000, 0.621], [0.697, 0.697, 0.121], [0.702, 0.000, 0.827], [0.702, 0.702, 0.327], [0.000, 0.000, 0.213], [0.000, 0.000, 0.713], [0.000, 0.332, 0.926], [0.000, 0.668, 0.426], [0.332, 0.000, 0.926], [0.332, 0.332, 0.426], [0.333, 0.667, 0.139], [0.333, 0.667, 0.639], [0.667, 0.333, 0.139], [0.667, 0.333, 0.639], [0.668, 0.000, 0.426], [0.668, 0.668, 0.926]], "delta_e_f_ev_per_atom": -0.026, "volume_a3_per_atom": 12.6, "polymorph_energy_ev_per_atom": 0.000, "space_group": "P6_3cm"}

***

No. 12
{"formula": "MnGe", "functional": "PBE", "state": "relaxed", "cell": [[4.762, 0.000, 0.000], [0.000, 4.762, 0.000], [0.000, 0.000, 4.762]], "species": ["Mn", "Mn", "Mn", "Mn", "Ge", "Ge", "Ge", "Ge"], "fractional_positions": [[0.137, 0.363, 0.637], [0.363, 0.637, 0.137], [0.637, 0.137, 0.363], [0.863, 0.863, 0.863], [0.157, 0.157, 0.157], [0.343, 0.843, 0.657], [0.657, 0.343, 0.843], [0.843, 0.657, 0.343]], "delta_e_f_ev_per_atom": -0.123, "volume_a3_per_atom": 13.5, "space_group": "P2_13"}